No. 1
The following is a DFT calculation (PBE) of a relaxed Ti3Cr17Si12 crystal.

The structure in POSCAR format:
```
Ti3Cr17Si12
1.0
12.978 0.000 0.000
0.000 6.487 2.319
0.000 -6.487 2.319
Ti Cr Si
3 17 12
Direct
0.000 0.000 0.000
0.000 0.500 0.500
0.500 0.000 0.000
0.102 0.078 0.422
0.102 0.422 0.078
0.174 0.648 0.852
0.174 0.852 0.648
0.329 0.147 0.350
0.329 0.350 0.147
0.400 0.580 0.925
0.400 0.925 0.580
0.500 0.501 0.501
0.600 0.580 0.925
0.600 0.925 0.580
0.671 0.147 0.350
0.671 0.350 0.147
0.826 0.648 0.852
0.826 0.852 0.648
0.898 0.078 0.422
0.898 0.422 0.078
0.000 0.575 0.925
0.000 0.925 0.575
0.175 0.249 0.249
0.251 0.251 0.750
0.251 0.750 0.251
0.328 0.741 0.741
0.500 0.088 0.433
0.500 0.433 0.088
0.672 0.741 0.741
0.749 0.251 0.750
0.749 0.750 0.251
0.825 0.249 0.249
```

No. 2
The following is a DFT calculation (PBE) of a relaxed Ti2Cr4Si5 crystal.

The structure in POSCAR format:
```
Ti2Cr4Si5
1.0
-3.721 7.881 2.399
3.721 -7.881 2.399
3.721 7.881 -2.399
Ti Cr Si
4 8 10
Direct
0.142 0.116 0.258
0.358 0.616 0.975
0.642 0.384 0.025
0.858 0.884 0.742
0.057 0.750 0.307
0.063 0.748 0.812
0.437 0.248 0.685
0.443 0.750 0.693
0.557 0.250 0.307
0.563 0.752 0.315
0.937 0.252 0.188
0.943 0.250 0.693
0.065 0.419 0.484
0.212 0.793 0.005
0.250 0.250 0.000
0.288 0.293 0.582
0.435 0.919 0.354
0.565 0.081 0.646
0.712 0.707 0.418
0.750 0.750 0.000
0.788 0.207 0.995
0.935 0.581 0.516
```

No. 3
The following is a DFT calculation (PBE) of a relaxed TiCr2Si6 crystal.

The structure in POSCAR format:
```
TiCr2Si6
1.0
2.292 -3.920 0.000
2.292 3.920 0.000
0.000 0.000 6.350
Ti Cr Si
1 2 6
Direct
0.000 0.000 0.000
0.000 0.500 0.667
0.500 0.000 0.333
0.172 0.342 0.337
0.339 0.661 0.000
0.342 0.172 0.663
0.658 0.828 0.663
0.661 0.339 0.000
0.828 0.658 0.337
```

No. 4
The following is a DFT calculation (PBE) of a relaxed TmCr2Si2 crystal.

The structure in POSCAR format:
```
TmCr2Si2
1.0
3.828 0.000 0.000
0.000 3.828 0.000
0.000 0.000 10.652
Tm Cr Si
2 4 4
Direct
0.000 0.000 0.000
0.500 0.500 0.500
0.000 0.500 0.250
0.000 0.500 0.750
0.500 0.000 0.250
0.500 0.000 0.750
0.000 0.000 0.386
0.000 0.000 0.614
0.500 0.500 0.114
0.500 0.500 0.886
```

No. 5
The following is a DFT calculation (PBE) of a relaxed U4Cr7Si crystal.

The structure in POSCAR format:
```
U4Cr7Si
1.0
5.047 0.000 0.000
-2.523 4.371 0.000
0.000 0.000 8.221
U Cr Si
4 7 1
Direct
0.333 0.667 0.067
0.333 0.667 0.430
0.667 0.333 0.570
0.667 0.333 0.933
0.000 0.000 0.500
0.169 0.338 0.752
0.169 0.831 0.752
0.338 0.169 0.248
0.662 0.831 0.752
0.831 0.169 0.248
0.831 0.662 0.248
0.000 0.000 0.000
```

No. 6
The following is a DFT calculation (PBE) of a relaxed YUCr4Si4 crystal.

The structure in POSCAR format:
```
YUCr4Si4
1.0
3.880 0.000 0.000
0.000 3.880 0.000
0.000 0.000 10.485
Y U Cr Si
1 1 4 4
Direct
0.000 0.000 0.000
0.500 0.500 0.500
0.000 0.500 0.255
0.000 0.500 0.745
0.500 0.000 0.255
0.500 0.000 0.745
0.000 0.000 0.387
0.000 0.000 0.613
0.500 0.500 0.118
0.500 0.500 0.882
```

No. 7
The following is a DFT calculation (PBE) of a relaxed VCrSi4 crystal.

The structure in POSCAR format:
```
VCrSi4
1.0
4.489 0.000 0.000
0.000 12.683 0.000
-2.237 0.000 3.903
V Cr Si
3 3 12
Direct
0.000 0.000 0.000
0.000 0.499 0.000
0.500 0.666 0.000
0.000 0.332 0.500
0.000 0.833 0.500
0.500 0.168 0.000
0.170 0.167 0.336
0.174 0.667 0.338
0.334 0.499 0.661
0.335 0.833 0.172
0.336 0.000 0.666
0.338 0.332 0.170
0.662 0.332 0.830
0.664 0.000 0.334
0.665 0.833 0.828
0.666 0.499 0.339
0.826 0.667 0.662
0.830 0.167 0.664
```

No. 8
The following is a DFT calculation (PBE) of a relaxed V3Cr3Si2 crystal.

The structure in POSCAR format:
```
V3Cr3Si2
1.0
3.253 1.878 2.661
-3.253 1.878 2.661
0.000 -3.756 2.661
V Cr Si
3 3 2
Direct
0.000 0.750 0.250
0.250 0.000 0.750
0.750 0.250 0.000
0.250 0.500 0.750
0.500 0.750 0.250
0.750 0.250 0.500
0.250 0.250 0.250
0.750 0.750 0.750
```

No. 9
The following is a DFT calculation (PBE) of a relaxed CrSiW crystal.

The structure in POSCAR format:
```
CrSiW
1.0
7.666 0.000 0.000
0.000 2.411 4.238
0.000 -2.411 4.238
Cr Si W
4 4 4
Direct
0.000 0.243 0.757
0.000 0.757 0.243
0.248 0.578 0.578
0.752 0.578 0.578
0.000 0.755 0.755
0.500 0.412 0.412
0.500 0.412 0.917
0.500 0.917 0.412
0.190 0.247 0.247
0.322 0.914 0.914
0.678 0.914 0.914
0.810 0.247 0.247
```

No. 10
The following is a DFT calculation (PBE) of a relaxed YCr2Si2 crystal.

The structure in POSCAR format:
```
YCr2Si2
1.0
3.854 0.000 0.000
0.000 3.854 0.000
0.000 0.000 10.706
Y Cr Si
2 4 4
Direct
0.000 0.000 0.000
0.500 0.500 0.500
0.000 0.500 0.250
0.000 0.500 0.750
0.500 0.000 0.250
0.500 0.000 0.750
0.000 0.000 0.384
0.000 0.000 0.616
0.500 0.500 0.116
0.500 0.500 0.884
```

No. 11
The following is a DFT calculation (PBE) of a relaxed Zr2Cr4Si5 crystal.

The structure in POSCAR format:
```
Zr2Cr4Si5
1.0
-3.804 8.061 2.480
3.804 -8.061 2.480
3.804 8.061 -2.480
Zr Cr Si
4 8 10
Direct
0.141 0.122 0.263
0.359 0.622 0.981
0.641 0.378 0.019
0.859 0.878 0.737
0.059 0.750 0.309
0.061 0.747 0.809
0.439 0.247 0.686
0.441 0.750 0.691
0.559 0.250 0.309
0.561 0.753 0.314
0.939 0.253 0.191
0.941 0.250 0.691
0.064 0.427 0.491
0.211 0.791 0.002
0.250 0.250 0.000
0.289 0.291 0.580
0.436 0.927 0.363
0.564 0.073 0.637
0.711 0.709 0.420
0.750 0.750 0.000
0.789 0.209 0.998
0.936 0.573 0.509
```

No. 12
The following is a DFT calculation (PBE) of a relaxed SrCrW2 crystal.

The structure in POSCAR format:
```
SrCrW2
1.0
6.551 0.000 0.000
0.000 6.551 0.000
0.000 0.000 6.551
Sr Cr W
4 4 8
Direct
0.000 0.000 0.000
0.000 0.500 0.500
0.500 0.000 0.500
0.500 0.500 0.000
0.000 0.000 0.500
0.000 0.500 0.000
0.500 0.000 0.000
0.500 0.500 0.500
0.250 0.250 0.250
0.250 0.250 0.750
0.250 0.750 0.250
0.250 0.750 0.750
0.750 0.250 0.250
0.750 0.250 0.750
0.750 0.750 0.250
0.750 0.750 0.750
```

Number 1: calculated formation energy -0.301 eV/atom, final energy -0.60493 Ry/atom. Number 2: calculated formation energy -0.529 eV/atom, final energy -0.58599 Ry/atom. Number 3: calculated formation energy -0.334 eV/atom, final energy -0.51603 Ry/atom. Number 4: calculated formation energy -0.401 eV/atom, final energy -0.54068 Ry/atom. Number 5: calculated formation energy 0.099 eV/atom, final energy -0.71690 Ry/atom. Number 6: calculated formation energy -0.283 eV/atom, final energy -0.59667 Ry/atom. Number 7: calculated formation energy -0.363 eV/atom, final energy -0.52552 Ry/atom. Number 8: calculated formation energy -0.442 eV/atom, final energy -0.64991 Ry/atom. Number 9: calculated formation energy -0.132 eV/atom, final energy -0.69659 Ry/atom. Number 10: calculated formation energy -0.399 eV/atom, final energy -0.56979 Ry/atom. Number 11: calculated formation energy -0.510 eV/atom, final energy -0.59334 Ry/atom. Number 12: calculated formation energy 1.460 eV/atom, final energy -0.57733 Ry/atom.